No. 1
DFT (GGA+U) results for a relaxed CrCo3O8 crystal.

a b c (Å): 5.7740 5.7740 5.7740
angles (deg): 58.98 58.98 58.98
Fractional coordinates of all 12 atoms:
Cr: 0.0000 0.0000 0.0000
Co: 0.0000 0.0000 0.5000
Co: 0.0000 0.5000 0.0000
Co: 0.5000 0.0000 0.0000
O: 0.2024 0.7613 0.7613
O: 0.2343 0.2343 0.2343
O: 0.2387 0.2387 0.7976
O: 0.2387 0.7976 0.2387
O: 0.7613 0.2024 0.7613
O: 0.7613 0.7613 0.2024
O: 0.7657 0.7657 0.7657
O: 0.7976 0.2387 0.2387

Computed properties:
* spin magnetization: 5.00 μB per cell
* raw total energy: -6.068 eV/atom
* ΔE to the lowest computed polymorph: 0.038 eV per atom
* SG: No. 166



No. 2
DFT (GGA+U) results for a relaxed Li5Fe3Sb2O10 crystal.

a b c (Å): 5.3316 5.4110 15.0127
angles (deg): 86.51 87.00 80.27
Fractional coordinates of all 40 atoms:
Li: 0.0000 0.0000 0.0000
Li: 0.0512 0.2775 0.4599
Li: 0.1564 0.7603 0.3596
Li: 0.3624 0.7419 0.1574
Li: 0.4484 0.2241 0.0504
Li: 0.5022 0.5075 0.5067
Li: 0.5565 0.7834 0.9523
Li: 0.6398 0.2608 0.8428
Li: 0.8438 0.2695 0.6531
Li: 0.9338 0.7116 0.5523
Fe: 0.1973 0.0019 0.8085
Fe: 0.2481 0.2447 0.2519
Fe: 0.3016 0.5083 0.6981
Fe: 0.7033 0.5043 0.3062
Fe: 0.7511 0.7542 0.7518
Fe: 0.8020 0.0009 0.1967
Sb: 0.1065 0.4966 0.9042
Sb: 0.3844 0.0144 0.6074
Sb: 0.6102 0.0009 0.3999
Sb: 0.8979 0.5051 0.1020
O: 0.0298 0.6190 0.2124
O: 0.0768 0.8964 0.6886
O: 0.1175 0.1646 0.1286
O: 0.1762 0.3896 0.5839
O: 0.1985 0.6135 0.0247
O: 0.3109 0.1513 0.9273
O: 0.3125 0.8768 0.4606
O: 0.3894 0.3400 0.3661
O: 0.4024 0.6200 0.8390
O: 0.4880 0.8804 0.2807
O: 0.5194 0.1292 0.7313
O: 0.6006 0.3859 0.1685
O: 0.6441 0.6152 0.6409
O: 0.6912 0.8499 0.0808
O: 0.7368 0.1383 0.5051
O: 0.8068 0.3847 0.9838
O: 0.8264 0.6580 0.4161
O: 0.8863 0.8361 0.8811
O: 0.8971 0.1206 0.3189
O: 0.9758 0.3828 0.7948

Computed properties:
* spin magnetization: 24.00 μB per cell
* raw total energy: -5.877 eV/atom
* ΔE to the lowest computed polymorph: 0.006 eV per atom
* SG: No. 1



No. 3
DFT (GGA+U) results for a relaxed NaNi2P3O10 crystal.

a b c (Å): 4.7000 8.5274 9.0382
angles (deg): 90.00 98.02 90.00
Fractional coordinates of all 32 atoms:
Na: 0.0000 0.0000 0.0000
Na: 0.0000 0.5000 0.0000
Ni: 0.0430 0.0710 0.3420
Ni: 0.0430 0.4290 0.3420
Ni: 0.9570 0.5710 0.6580
Ni: 0.9570 0.9290 0.6580
P: 0.3338 0.2500 0.8151
P: 0.3922 0.7500 0.4632
P: 0.4767 0.2500 0.1535
P: 0.5233 0.7500 0.8465
P: 0.6078 0.2500 0.5368
P: 0.6662 0.7500 0.1849
O: 0.1646 0.0994 0.7976
O: 0.1646 0.4006 0.7976
O: 0.2102 0.7500 0.7665
O: 0.2264 0.5987 0.4881
O: 0.2264 0.9013 0.4881
O: 0.3013 0.2500 0.4513
O: 0.3152 0.0994 0.1772
O: 0.3152 0.4006 0.1772
O: 0.4171 0.7500 0.2869
O: 0.4649 0.7500 0.0241
O: 0.5351 0.2500 0.9759
O: 0.5829 0.2500 0.7131
O: 0.6848 0.5994 0.8228
O: 0.6848 0.9006 0.8228
O: 0.6987 0.7500 0.5487
O: 0.7736 0.0987 0.5119
O: 0.7736 0.4013 0.5119
O: 0.7898 0.2500 0.2335
O: 0.8354 0.5994 0.2024
O: 0.8354 0.9006 0.2024

Computed properties:
* spin magnetization: 8.00 μB per cell
* raw total energy: -6.518 eV/atom
* SG: No. 11



No. 4
DFT (GGA+U) results for a relaxed MgMnV4O12 crystal.

a b c (Å): 5.0497 5.3731 7.5743
angles (deg): 95.40 90.90 90.05
Fractional coordinates of all 18 atoms:
Mg: 0.0000 0.0000 0.0000
Mn: 0.5103 0.4856 0.5137
V: 0.0100 0.5576 0.2239
V: 0.4940 0.0676 0.7263
V: 0.5040 0.0618 0.2170
V: 0.9972 0.5799 0.7345
O: 0.1482 0.5986 0.4374
O: 0.1713 0.8992 0.7608
O: 0.1882 0.2969 0.1344
O: 0.2804 0.3912 0.7422
O: 0.2913 0.8175 0.1473
O: 0.4078 0.1266 0.4403
O: 0.6179 0.0947 0.9448
O: 0.6800 0.7784 0.6279
O: 0.7030 0.4201 0.2609
O: 0.7791 0.3174 0.6425
O: 0.8035 0.9083 0.2347
O: 0.9018 0.6076 0.9512

Computed properties:
* spin magnetization: 5.00 μB per cell
* raw total energy: -7.297 eV/atom
* ΔE to the lowest computed polymorph: 0.050 eV per atom
* SG: No. 1



No. 5
DFT (GGA+U) results for a relaxed Li4Cr3NiO8 crystal.

a b c (Å): 5.1224 7.8023 7.8111
angles (deg): 94.14 108.98 96.31
Fractional coordinates of all 32 atoms:
Li: 0.0000 0.0000 0.0000
Li: 0.1228 0.3687 0.1230
Li: 0.2484 0.7476 0.2459
Li: 0.3738 0.1276 0.3725
Li: 0.5000 0.5000 0.5000
Li: 0.6262 0.8724 0.6275
Li: 0.7516 0.2524 0.7541
Li: 0.8772 0.6313 0.8770
Cr: 0.0626 0.6885 0.5641
Cr: 0.1899 0.0619 0.6927
Cr: 0.3126 0.4376 0.8141
Cr: 0.6874 0.5624 0.1859
Cr: 0.8101 0.9381 0.3073
Cr: 0.9374 0.3115 0.4359
Ni: 0.4368 0.8109 0.9370
Ni: 0.5632 0.1891 0.0630
O: 0.0357 0.8465 0.7713
O: 0.0741 0.5298 0.3490
O: 0.1601 0.2195 0.8949
O: 0.1953 0.9064 0.4751
O: 0.3012 0.5921 0.0294
O: 0.3241 0.2794 0.6001
O: 0.4336 0.9694 0.1557
O: 0.4465 0.6538 0.7189
O: 0.5535 0.3462 0.2811
O: 0.5664 0.0306 0.8443
O: 0.6759 0.7206 0.3999
O: 0.6988 0.4079 0.9706
O: 0.8047 0.0936 0.5249
O: 0.8399 0.7805 0.1051
O: 0.9259 0.4702 0.6510
O: 0.9643 0.1535 0.2287

Computed properties:
* spin magnetization: 20.00 μB per cell
* raw total energy: -6.424 eV/atom
* ΔE to the lowest computed polymorph: 0.007 eV per atom
* SG: No. 2



No. 6
DFT (GGA+U) results for a relaxed Li4Ni5O9 crystal.

a b c (Å): 6.4947 7.6343 7.6638
angles (deg): 64.65 85.57 65.14
Fractional coordinates of all 36 atoms:
Li: 0.0553 0.2775 0.0582
Li: 0.1625 0.8373 0.1651
Li: 0.2789 0.3864 0.2807
Li: 0.3896 0.9442 0.3905
Li: 0.6104 0.0558 0.6095
Li: 0.7211 0.6136 0.7193
Li: 0.8375 0.1627 0.8349
Li: 0.9447 0.7225 0.9418
Ni: 0.0567 0.7779 0.5543
Ni: 0.1668 0.3345 0.6696
Ni: 0.2786 0.8916 0.7764
Ni: 0.3911 0.4481 0.8861
Ni: 0.5000 0.0000 0.0000
Ni: 0.5000 0.5000 0.5000
Ni: 0.6089 0.5519 0.1139
Ni: 0.7214 0.1084 0.2236
Ni: 0.8332 0.6655 0.3304
Ni: 0.9433 0.2221 0.4457
O: 0.0313 0.0270 0.3079
O: 0.0726 0.5255 0.7934
O: 0.1670 0.5662 0.4331
O: 0.1842 0.0987 0.9091
O: 0.2671 0.1412 0.5498
O: 0.2915 0.6376 0.0053
O: 0.3850 0.6963 0.6376
O: 0.4148 0.1812 0.1338
O: 0.4997 0.2661 0.7629
O: 0.5003 0.7339 0.2371
O: 0.5852 0.8188 0.8662
O: 0.6150 0.3037 0.3624
O: 0.7085 0.3624 0.9947
O: 0.7329 0.8588 0.4502
O: 0.8158 0.9013 0.0909
O: 0.8330 0.4338 0.5669
O: 0.9274 0.4745 0.2066
O: 0.9687 0.9730 0.6921

Computed properties:
* raw total energy: -4.906 eV/atom
* SG: No. 2



No. 7
DFT (GGA+U) results for a relaxed MgV2Cu3O8 crystal.

a b c (Å): 5.4186 6.1192 6.7688
angles (deg): 74.34 89.66 65.66
Fractional coordinates of all 14 atoms:
Mg: 0.0000 0.0000 0.0000
V: 0.3383 0.7983 0.3199
V: 0.6617 0.2017 0.6801
Cu: 0.0000 0.5000 0.5000
Cu: 0.3901 0.3449 0.1558
Cu: 0.6099 0.6551 0.8442
O: 0.0056 0.8163 0.3426
O: 0.2363 0.1125 0.1723
O: 0.3940 0.6808 0.0956
O: 0.4058 0.3262 0.4692
O: 0.5942 0.6738 0.5308
O: 0.6060 0.3192 0.9044
O: 0.7637 0.8875 0.8277
O: 0.9944 0.1837 0.6574

Computed properties:
* spin magnetization: 1.00 μB per cell
* raw total energy: -6.204 eV/atom
* ΔE to the lowest computed polymorph: 0.090 eV per atom
* SG: No. 2



No. 8
DFT (GGA+U) results for a relaxed Na5VO4 crystal.

a b c (Å): 6.0293 18.2193 10.7694
angles (deg): 90.00 90.00 90.00
Fractional coordinates of all 80 atoms:
Na: 0.0804 0.1413 0.1957
Na: 0.0804 0.3587 0.6957
Na: 0.0887 0.0639 0.9372
Na: 0.0887 0.4361 0.4372
Na: 0.0917 0.5031 0.1678
Na: 0.0917 0.9969 0.6678
Na: 0.0995 0.7475 0.5752
Na: 0.0995 0.7525 0.0752
Na: 0.1079 0.6727 0.8229
Na: 0.1079 0.8273 0.3229
Na: 0.3921 0.1727 0.8229
Na: 0.3921 0.3273 0.3229
Na: 0.4005 0.2475 0.5752
Na: 0.4005 0.2525 0.0752
Na: 0.4083 0.0031 0.1678
Na: 0.4083 0.4969 0.6678
Na: 0.4113 0.5639 0.9372
Na: 0.4113 0.9361 0.4372
Na: 0.4196 0.6413 0.1957
Na: 0.4196 0.8587 0.6957
Na: 0.5804 0.1413 0.3043
Na: 0.5804 0.3587 0.8043
Na: 0.5887 0.0639 0.5628
Na: 0.5887 0.4361 0.0628
Na: 0.5917 0.5031 0.3322
Na: 0.5917 0.9969 0.8322
Na: 0.5995 0.7475 0.9248
Na: 0.5995 0.7525 0.4248
Na: 0.6079 0.6727 0.6771
Na: 0.6079 0.8273 0.1771
Na: 0.8921 0.1727 0.6771
Na: 0.8921 0.3273 0.1771
Na: 0.9005 0.2475 0.9248
Na: 0.9005 0.2525 0.4248
Na: 0.9083 0.0031 0.3322
Na: 0.9083 0.4969 0.8322
Na: 0.9113 0.5639 0.5628
Na: 0.9113 0.9361 0.0628
Na: 0.9196 0.6413 0.3043
Na: 0.9196 0.8587 0.8043
V: 0.1727 0.1223 0.4601
V: 0.1727 0.3777 0.9601
V: 0.3273 0.6223 0.4601
V: 0.3273 0.8777 0.9601
V: 0.6727 0.1223 0.0399
V: 0.6727 0.3777 0.5399
V: 0.8273 0.6223 0.0399
V: 0.8273 0.8777 0.5399
O: 0.1447 0.6203 0.0479
O: 0.1447 0.8797 0.5479
O: 0.1924 0.5454 0.3636
O: 0.1924 0.9546 0.8636
O: 0.2341 0.7124 0.3758
O: 0.2341 0.7876 0.8758
O: 0.2377 0.6253 0.6347
O: 0.2377 0.8747 0.1347
O: 0.2623 0.1253 0.6347
O: 0.2623 0.3747 0.1347
O: 0.2659 0.2124 0.3758
O: 0.2659 0.2876 0.8758
O: 0.3076 0.0454 0.3636
O: 0.3076 0.4546 0.8636
O: 0.3553 0.1203 0.0479
O: 0.3553 0.3797 0.5479
O: 0.6447 0.6203 0.4521
O: 0.6447 0.8797 0.9521
O: 0.6924 0.5454 0.1364
O: 0.6924 0.9546 0.6364
O: 0.7341 0.7124 0.1242
O: 0.7341 0.7876 0.6242
O: 0.7377 0.6253 0.8653
O: 0.7377 0.8747 0.3653
O: 0.7623 0.1253 0.8653
O: 0.7623 0.3747 0.3653
O: 0.7659 0.2124 0.1242
O: 0.7659 0.2876 0.6242
O: 0.8076 0.0454 0.1364
O: 0.8076 0.4546 0.6364
O: 0.8553 0.1203 0.4521
O: 0.8553 0.3797 0.9521

Computed properties:
* spin magnetization: 16.00 μB per cell
* raw total energy: -4.882 eV/atom
* ΔE to the lowest computed polymorph: 0.022 eV per atom
* SG: No. 61



No. 9
DFT (GGA+U) results for a relaxed Sr2LaCrO6 crystal.

a b c (Å): 5.9419 5.9419 5.9419
angles (deg): 60.00 60.00 60.00
Fractional coordinates of all 10 atoms:
Sr: 0.2500 0.2500 0.2500
Sr: 0.7500 0.7500 0.7500
La: 0.0000 0.0000 0.0000
Cr: 0.5000 0.5000 0.5000
O: 0.2752 0.2752 0.7248
O: 0.2752 0.7248 0.2752
O: 0.2752 0.7248 0.7248
O: 0.7248 0.2752 0.2752
O: 0.7248 0.2752 0.7248
O: 0.7248 0.7248 0.2752

Computed properties:
* spin magnetization: 1.00 μB per cell
* raw total energy: -6.904 eV/atom
* SG: No. 225



No. 10
DFT (GGA+U) results for a relaxed K8Li3Mn4O16 crystal.

a b c (Å): 5.7440 8.1409 11.1353
angles (deg): 88.16 86.22 89.91
Fractional coordinates of all 31 atoms:
K: 0.0000 0.0000 0.0000
K: 0.0032 0.5185 0.1585
K: 0.0074 0.8008 0.6757
K: 0.4777 0.3155 0.9640
K: 0.4969 0.5563 0.5473
K: 0.5022 0.0692 0.6490
K: 0.5102 0.7846 0.1789
K: 0.9916 0.2951 0.4752
Li: 0.0552 0.5695 0.8870
Li: 0.5588 0.0073 0.3929
Li: 0.9437 0.0673 0.2667
Mn: 0.0488 0.8099 0.3898
Mn: 0.4559 0.2666 0.2709
Mn: 0.5314 0.7714 0.8861
Mn: 0.9576 0.3121 0.7727
O: 0.0402 0.8355 0.2346
O: 0.0667 0.1293 0.7315
O: 0.1149 0.4749 0.7163
O: 0.1724 0.2356 0.2349
O: 0.3268 0.8386 0.4346
O: 0.3285 0.6412 0.9590
O: 0.4701 0.2477 0.4266
O: 0.4766 0.9669 0.9297
O: 0.5270 0.7647 0.7335
O: 0.5502 0.4499 0.2108
O: 0.6275 0.1022 0.2213
O: 0.6886 0.3332 0.7262
O: 0.8057 0.7194 0.9294
O: 0.8743 0.9714 0.4440
O: 0.9445 0.6248 0.4415
O: 0.9586 0.3312 0.9250

Computed properties:
* spin magnetization: 7.00 μB per cell
* raw total energy: -5.467 eV/atom
* SG: No. 1



No. 11
DFT (GGA+U) results for a relaxed SrMnO3 crystal.

a b c (Å): 5.5330 5.5330 9.2891
angles (deg): 90.00 90.00 119.78
Fractional coordinates of all 20 atoms:
Sr: 0.1614 0.8386 0.7500
Sr: 0.4801 0.4801 0.0000
Sr: 0.5199 0.5199 0.5000
Sr: 0.8386 0.1614 0.2500
Mn: 0.1492 0.8139 0.1122
Mn: 0.1861 0.8508 0.3878
Mn: 0.8139 0.1492 0.8878
Mn: 0.8508 0.1861 0.6122
O: 0.0542 0.0542 0.5000
O: 0.0538 0.5521 0.5213
O: 0.1346 0.3176 0.7673
O: 0.3176 0.1346 0.2327
O: 0.3201 0.6799 0.2500
O: 0.4479 0.9462 0.9787
O: 0.5521 0.0538 0.4787
O: 0.6799 0.3201 0.7500
O: 0.6824 0.8654 0.7327
O: 0.8654 0.6824 0.2673
O: 0.9462 0.4479 0.0213
O: 0.9458 0.9458 0.0000

Computed properties:
* spin magnetization: 0.00 μB per cell
* raw total energy: -6.893 eV/atom
* SG: No. 20



No. 12
DFT (GGA+U) results for a relaxed Li3CrCu4O8 crystal.

a b c (Å): 6.1549 6.1549 5.6031
angles (deg): 115.15 115.15 54.73
Fractional coordinates of all 16 atoms:
Li: 0.0000 0.0000 0.0000
Li: 0.0000 0.5000 0.5000
Li: 0.5000 0.0000 0.5000
Cr: 0.5000 0.5000 0.5000
Cu: 0.0000 0.0000 0.5000
Cu: 0.0000 0.5000 0.0000
Cu: 0.5000 0.0000 0.0000
Cu: 0.5000 0.5000 0.0000
O: 0.2006 0.2006 0.7394
O: 0.2319 0.7039 0.7306
O: 0.2884 0.2884 0.2534
O: 0.2961 0.7681 0.2694
O: 0.7039 0.2319 0.7306
O: 0.7116 0.7116 0.7466
O: 0.7681 0.2961 0.2694
O: 0.7994 0.7994 0.2606

Computed properties:
* spin magnetization: 1.59 μB per cell
* raw total energy: -5.522 eV/atom
* SG: No. 12



no.,energy of formation from the pure elements (meV/atom)
1,-1222
2,-1924
3,-2352
4,-2310
5,-2179
6,-1451
7,-1722
8,-1778
9,-2750
10,-1830
11,-2500
12,-1531